Here is a geometry-optimized V3S structure from Materials Project. Energies are from GGA-PBE.

Lattice parameters (Å, degrees): 9.452 9.452 4.550 90.00 90.00 90.00
Space group I-42m (No. 121)
One atom of each set of equivalent atoms:
V1 0.000 0.358 0.000 x8
V2 0.091 0.091 0.762 x8
V3 0.200 0.200 0.262 x8
S1 0.000 0.289 0.500 x8

Results
ΔE to the lowest computed polymorph: 3 meV/atom
Formation energy: -0.669 eV/atom

Here is a geometry-optimized YV2S4 structure from Materials Project. Energies are from GGA-PBE.

Lattice parameters (Å, degrees): 7.356 7.356 11.040 90.00 90.00 90.00
Space group I4_1/amd (No. 141, origin choice 2)
One atom of each set of equivalent atoms:
Y1 0.000 0.250 0.375 x4
V1 0.000 0.000 0.000 x8
S1 0.000 0.024 0.773 x16

Results
ΔE to the lowest computed polymorph: 37 meV/atom
Formation energy: -1.411 eV/atom

Here is a geometry-optimized YV2S4 structure from Materials Project. Energies are from GGA-PBE.

Lattice parameters (Å, degrees): 7.360 7.651 10.423 90.00 90.00 90.00
Space group Imma (No. 74)
One atom of each set of equivalent atoms:
Y1 0.000 0.000 0.000 x4
V1 0.000 0.250 0.363 x4
V2 0.250 0.250 0.750 x4
S1 0.000 0.026 0.739 x8
S2 0.240 0.250 0.511 x8

Results
ΔE to the lowest computed polymorph: 0 meV/atom
Formation energy: -1.448 eV/atom